No. 1
A relaxed structure of CaZrSi6O18. Source: the Materials Project, functional PBE.

The structure in POSCAR format:
```
CaZrSi6O18
1.0
-7.822 -6.168 -1.429
5.185 -7.462 4.325
-3.239 -0.511 7.207
O Zr Si Ca
36 2 12 2
Direct
0.158 0.645 0.281
0.603 0.874 0.041
0.651 0.497 0.172
0.949 0.198 0.178
0.648 0.240 0.433
0.545 0.093 0.809
0.760 0.352 0.567
0.102 0.346 0.317
0.355 0.842 0.719
0.126 0.397 0.959
0.141 0.442 0.610
0.765 0.235 0.000
0.605 0.607 0.666
0.059 0.154 0.664
0.452 0.548 0.000
0.101 0.648 0.772
0.352 0.899 0.228
0.460 0.660 0.271
0.310 0.107 0.387
0.393 0.395 0.334
0.350 0.203 0.681
0.893 0.690 0.613
0.558 0.859 0.390
0.340 0.540 0.729
0.112 0.003 0.269
0.503 0.349 0.828
0.998 0.002 0.000
0.654 0.898 0.683
0.753 0.247 0.500
0.907 0.455 0.191
0.802 0.051 0.822
0.851 0.676 0.962
0.797 0.650 0.319
0.324 0.149 0.038
0.997 0.888 0.731
0.846 0.941 0.336
0.726 0.772 0.502
0.228 0.274 0.498
0.275 0.041 0.231
0.959 0.725 0.769
0.972 0.033 0.198
0.479 0.514 0.804
0.653 0.974 0.843
0.797 0.574 0.158
0.967 0.028 0.802
0.493 0.822 0.233
0.486 0.521 0.196
0.178 0.507 0.767
0.426 0.203 0.842
0.026 0.347 0.157
0.963 0.512 0.471
0.488 0.037 0.529
```

## Properties
The crystal system is monoclinic. The formation energy comes out at -2.40 eV per atom. The value obtained for the density is 2.57 g cm⁻³.



No. 2
A relaxed structure of PrCo4Si. Source: the Materials Project, functional PBE.

The structure in POSCAR format:
```
PrCo4Si
1.0
0.872 1.634 -4.544
-2.339 3.065 3.036
3.446 1.456 1.184
Si Co Pr
1 4 1
Direct
0.000 0.000 0.500
0.158 0.842 0.000
0.842 0.158 0.000
0.000 0.500 0.500
0.500 0.000 0.500
0.500 0.500 0.000
```

## Properties
The crystal system is orthorhombic. The formation energy comes out at -0.24 eV per atom. The value obtained for the density is 7.96 g cm⁻³.



No. 3
A relaxed structure of Sr2UO5. Source: the Materials Project, functional PBE.

The structure in POSCAR format:
```
Sr2UO5
1.0
5.726 0.000 0.000
0.000 8.166 0.000
0.000 3.816 11.405
O Sr U
20 8 4
Direct
0.289 0.108 0.359
0.744 0.019 0.878
0.756 0.019 0.378
0.202 0.395 0.575
0.670 0.446 0.664
0.652 0.251 0.501
0.848 0.251 0.001
0.152 0.749 0.999
0.711 0.892 0.641
0.348 0.749 0.499
0.330 0.554 0.336
0.211 0.108 0.859
0.702 0.605 0.925
0.789 0.892 0.141
0.830 0.446 0.164
0.244 0.981 0.622
0.298 0.395 0.075
0.798 0.605 0.425
0.170 0.554 0.836
0.256 0.981 0.122
0.000 0.341 0.361
0.934 0.156 0.681
0.566 0.156 0.181
0.500 0.341 0.861
0.500 0.659 0.139
0.434 0.844 0.819
0.066 0.844 0.319
0.000 0.659 0.639
0.500 0.500 0.500
0.500 0.000 0.500
0.000 0.500 0.000
0.000 0.000 0.000
```

## Properties
The crystal system is monoclinic. The formation energy comes out at -3.62 eV per atom. The value obtained for the density is 6.14 g cm⁻³.



No. 4
A relaxed structure of K2Ta2O5. Source: the Materials Project, functional PBE.

The structure in POSCAR format:
```
K2Ta2O5
1.0
-2.871 2.882 8.032
2.871 -2.882 8.032
2.871 2.882 -8.032
Ta K O
4 4 10
Direct
0.762 0.772 0.034
0.008 0.000 0.008
0.262 0.228 0.990
0.508 0.500 0.008
0.629 0.124 0.512
0.388 0.876 0.505
0.129 0.617 0.505
0.888 0.383 0.512
0.881 0.863 0.999
0.518 0.006 0.024
0.755 0.247 0.006
0.636 0.618 0.999
0.018 0.994 0.512
0.759 0.753 0.508
0.381 0.382 0.018
0.259 0.751 0.006
0.136 0.137 0.018
0.255 0.249 0.508
```

## Properties
The crystal system is orthorhombic. The formation energy comes out at -2.66 eV per atom. The value obtained for the density is 6.50 g cm⁻³.



| no. | calculated volume (A^3/atom) | E (eV/atom) |
| --- | --- | --- |
| 1 | 14.59 | -7.481 |
| 2 | 14.06 | -6.692 |
| 3 | 16.66 | -8.112 |
| 4 | 14.76 | -7.911 |